Material: NaVPO5
Method: DFT, GGA+U
State: optimized geometry

abc: 6.631 8.579 7.112
angles: 90.00 114.88 90.00
Sites, in units of the cell vectors:
Na: 0.247 0.086 0.218
Na: 0.247 0.414 0.718
Na: 0.753 0.586 0.282
Na: 0.753 0.914 0.782
V: 0.254 0.740 0.981
V: 0.254 0.760 0.481
V: 0.746 0.240 0.519
V: 0.746 0.260 0.019
P: 0.250 0.066 0.749
P: 0.250 0.434 0.249
P: 0.750 0.566 0.751
P: 0.750 0.934 0.251
O: 0.064 0.171 0.594
O: 0.064 0.329 0.094
O: 0.154 0.539 0.372
O: 0.154 0.961 0.872
O: 0.249 0.683 0.747
O: 0.249 0.817 0.247
O: 0.356 0.537 0.134
O: 0.356 0.963 0.634
O: 0.427 0.180 0.899
O: 0.427 0.320 0.399
O: 0.573 0.680 0.601
O: 0.573 0.820 0.101
O: 0.644 0.037 0.366
O: 0.644 0.463 0.866
O: 0.751 0.183 0.753
O: 0.751 0.317 0.253
O: 0.846 0.039 0.128
O: 0.846 0.461 0.628
O: 0.936 0.671 0.906
O: 0.936 0.829 0.406

## Properties
Total magnetic moment = 0.125 μB per atom
Volume = 367 Å³/cell
ΔE to the lowest computed polymorph = 0.0 meV/atom

Material: Mn2Cd3Ge3O12
Method: DFT, GGA+U
State: optimized geometry

abc: 10.852 10.852 10.852
angles: 109.47 109.47 109.47
Sites, in units of the cell vectors:
Mn: 0.000 0.000 0.000
Mn: 0.000 0.000 0.500
Mn: 0.000 0.500 0.000
Mn: 0.000 0.500 0.500
Mn: 0.500 0.000 0.000
Mn: 0.500 0.000 0.500
Mn: 0.500 0.500 0.000
Mn: 0.500 0.500 0.500
Cd: 0.125 0.250 0.375
Cd: 0.125 0.375 0.750
Cd: 0.250 0.375 0.125
Cd: 0.250 0.875 0.625
Cd: 0.375 0.125 0.250
Cd: 0.375 0.750 0.125
Cd: 0.625 0.250 0.875
Cd: 0.625 0.875 0.750
Cd: 0.750 0.125 0.375
Cd: 0.750 0.625 0.875
Cd: 0.875 0.625 0.250
Cd: 0.875 0.750 0.625
Ge: 0.125 0.750 0.875
Ge: 0.125 0.875 0.250
Ge: 0.250 0.125 0.875
Ge: 0.250 0.625 0.375
Ge: 0.375 0.250 0.625
Ge: 0.375 0.625 0.750
Ge: 0.625 0.375 0.250
Ge: 0.625 0.750 0.375
Ge: 0.750 0.375 0.625
Ge: 0.750 0.875 0.125
Ge: 0.875 0.125 0.750
Ge: 0.875 0.250 0.125
O: 0.017 0.202 0.121
O: 0.017 0.315 0.896
O: 0.081 0.702 0.685
O: 0.081 0.879 0.396
O: 0.104 0.621 0.419
O: 0.104 0.983 0.685
O: 0.121 0.017 0.202
O: 0.121 0.604 0.919
O: 0.185 0.202 0.581
O: 0.185 0.483 0.604
O: 0.202 0.121 0.017
O: 0.202 0.581 0.185
O: 0.298 0.315 0.919
O: 0.298 0.483 0.379
O: 0.315 0.896 0.017
O: 0.315 0.919 0.298
O: 0.379 0.298 0.483
O: 0.379 0.581 0.896
O: 0.396 0.081 0.879
O: 0.396 0.815 0.517
O: 0.419 0.104 0.621
O: 0.419 0.815 0.798
O: 0.483 0.379 0.298
O: 0.483 0.604 0.185
O: 0.517 0.396 0.815
O: 0.517 0.621 0.702
O: 0.581 0.185 0.202
O: 0.581 0.896 0.379
O: 0.604 0.185 0.483
O: 0.604 0.919 0.121
O: 0.621 0.419 0.104
O: 0.621 0.702 0.517
O: 0.685 0.081 0.702
O: 0.685 0.104 0.983
O: 0.702 0.517 0.621
O: 0.702 0.685 0.081
O: 0.798 0.419 0.815
O: 0.798 0.879 0.983
O: 0.815 0.517 0.396
O: 0.815 0.798 0.419
O: 0.879 0.396 0.081
O: 0.879 0.983 0.798
O: 0.896 0.017 0.315
O: 0.896 0.379 0.581
O: 0.919 0.121 0.604
O: 0.919 0.298 0.315
O: 0.983 0.685 0.104
O: 0.983 0.798 0.879

## Properties
Total magnetic moment = 0.400 μB per atom
Volume = 984 Å³/cell
DFT total energy = -6.0146 eV/atom

Material: BaNaGdWO6
Method: DFT, GGA+U
State: optimized geometry

abc: 8.379 8.433 8.451
angles: 90.00 90.00 90.00
Sites, in units of the cell vectors:
Ba: 0.250 0.250 0.250
Ba: 0.250 0.250 0.750
Ba: 0.750 0.750 0.250
Ba: 0.750 0.750 0.750
Na: 0.250 0.750 0.250
Na: 0.250 0.750 0.750
Na: 0.750 0.250 0.250
Na: 0.750 0.250 0.750
Gd: 0.000 0.000 0.000
Gd: 0.000 0.500 0.500
Gd: 0.500 0.000 0.500
Gd: 0.500 0.500 0.000
W: 0.000 0.000 0.500
W: 0.000 0.500 0.000
W: 0.500 0.000 0.000
W: 0.500 0.500 0.500
O: 0.021 0.729 0.030
O: 0.021 0.771 0.470
O: 0.028 0.527 0.771
O: 0.028 0.973 0.729
O: 0.231 0.029 0.479
O: 0.231 0.471 0.021
O: 0.269 0.029 0.021
O: 0.269 0.471 0.479
O: 0.472 0.527 0.729
O: 0.472 0.973 0.771
O: 0.479 0.729 0.470
O: 0.479 0.771 0.030
O: 0.521 0.229 0.970
O: 0.521 0.271 0.530
O: 0.528 0.027 0.229
O: 0.528 0.473 0.271
O: 0.731 0.529 0.521
O: 0.731 0.971 0.979
O: 0.769 0.529 0.979
O: 0.769 0.971 0.521
O: 0.972 0.027 0.271
O: 0.972 0.473 0.229
O: 0.979 0.229 0.530
O: 0.979 0.271 0.970

## Properties
Total magnetic moment = 0.700 μB per atom
Volume = 597 Å³/cell
ΔE to the lowest computed polymorph = 0.0 meV/atom

Material: Li2Fe3P4O14
Method: DFT, GGA+U
State: optimized geometry

abc: 7.836 9.036 9.178
angles: 90.00 109.09 90.00
Sites, in units of the cell vectors:
Li: 0.234 0.029 0.158
Li: 0.234 0.471 0.658
Li: 0.766 0.529 0.342
Li: 0.766 0.971 0.842
Fe: 0.013 0.216 0.457
Fe: 0.013 0.284 0.957
Fe: 0.500 0.000 0.500
Fe: 0.500 0.500 0.000
Fe: 0.987 0.716 0.043
Fe: 0.987 0.784 0.543
P: 0.124 0.023 0.780
P: 0.124 0.477 0.280
P: 0.399 0.705 0.259
P: 0.399 0.795 0.759
P: 0.601 0.205 0.241
P: 0.601 0.295 0.741
P: 0.876 0.523 0.720
P: 0.876 0.977 0.220
O: 0.046 0.075 0.287
O: 0.046 0.425 0.787
O: 0.128 0.089 0.936
O: 0.128 0.411 0.436
O: 0.139 0.138 0.663
O: 0.139 0.362 0.163
O: 0.247 0.714 0.633
O: 0.247 0.786 0.133
O: 0.301 0.578 0.330
O: 0.301 0.922 0.830
O: 0.468 0.117 0.300
O: 0.468 0.383 0.800
O: 0.493 0.693 0.892
O: 0.493 0.807 0.392
O: 0.507 0.193 0.608
O: 0.507 0.307 0.108
O: 0.532 0.617 0.200
O: 0.532 0.883 0.700
O: 0.699 0.078 0.170
O: 0.699 0.422 0.670
O: 0.753 0.214 0.867
O: 0.753 0.286 0.367
O: 0.861 0.638 0.837
O: 0.861 0.862 0.337
O: 0.872 0.589 0.564
O: 0.872 0.911 0.064
O: 0.954 0.575 0.213
O: 0.954 0.925 0.713

## Properties
Total magnetic moment = 0.522 μB per atom
Volume = 614 Å³/cell
ΔE to the lowest computed polymorph = 49.8 meV/atom

Material: Mn8O17
Method: DFT, GGA+U
State: optimized geometry

abc: 5.835 7.163 7.179
angles: 87.60 78.37 78.13
Sites, in units of the cell vectors:
Mn: 0.075 0.016 0.182
Mn: 0.167 0.318 0.515
Mn: 0.333 0.682 0.485
Mn: 0.424 0.985 0.818
Mn: 0.576 0.015 0.182
Mn: 0.667 0.318 0.515
Mn: 0.833 0.682 0.485
Mn: 0.925 0.984 0.818
O: 0.022 0.794 0.622
O: 0.147 0.548 0.360
O: 0.168 0.122 0.706
O: 0.173 0.860 0.953
O: 0.328 0.141 0.048
O: 0.333 0.878 0.292
O: 0.352 0.453 0.640
O: 0.479 0.206 0.378
O: 0.500 0.500 0.000
O: 0.521 0.794 0.622
O: 0.648 0.547 0.360
O: 0.667 0.122 0.708
O: 0.672 0.859 0.952
O: 0.827 0.140 0.047
O: 0.832 0.878 0.294
O: 0.853 0.452 0.640
O: 0.978 0.206 0.378

## Properties
Total magnetic moment = 0.880 μB per atom
Volume = 288 Å³/cell
DFT total energy = -6.9365 eV/atom

Material: Ba3Cr2O8
Method: DFT, GGA+U
State: optimized geometry

abc: 5.842 7.969 9.901
angles: 68.17 89.97 89.93
Sites, in units of the cell vectors:
Ba: 0.000 0.000 0.000
Ba: 0.000 0.175 0.587
Ba: 0.498 0.090 0.292
Ba: 0.500 0.503 0.499
Ba: 0.500 0.678 0.087
Ba: 0.998 0.588 0.795
Cr: 0.000 0.403 0.201
Cr: 0.499 0.275 0.886
Cr: 0.499 0.903 0.701
Cr: 0.999 0.774 0.386
O: 0.000 0.251 0.116
O: 0.000 0.618 0.066
O: 0.004 0.939 0.459
O: 0.239 0.376 0.310
O: 0.243 0.801 0.280
O: 0.255 0.880 0.806
O: 0.260 0.302 0.776
O: 0.496 0.118 0.568
O: 0.499 0.060 0.021
O: 0.501 0.427 0.971
O: 0.505 0.740 0.627
O: 0.739 0.302 0.776
O: 0.742 0.876 0.807
O: 0.756 0.798 0.281
O: 0.761 0.376 0.310
O: 0.997 0.559 0.519

## Properties
Total magnetic moment = 0.154 μB per atom
Volume = 428 Å³/cell
ΔE to the lowest computed polymorph = 1.0 meV/atom

Material: Li2MnVP3O12
Method: DFT, GGA+U
State: optimized geometry

abc: 8.294 8.363 8.908
angles: 117.74 90.18 118.00
Sites, in units of the cell vectors:
Li: 0.000 0.000 0.000
Li: 0.064 0.897 0.300
Li: 0.651 0.430 0.021
Li: 0.812 0.237 0.297
Mn: 0.085 0.533 0.209
Mn: 0.385 0.128 0.107
V: 0.580 0.539 0.720
V: 0.880 0.120 0.594
P: 0.191 0.328 0.403
P: 0.265 0.334 0.910
P: 0.489 0.058 0.415
P: 0.689 0.030 0.905
P: 0.767 0.619 0.403
P: 0.982 0.615 0.907
O: 0.112 0.209 0.730
O: 0.182 0.797 0.953
O: 0.197 0.135 0.245
O: 0.213 0.488 0.354
O: 0.238 0.168 0.956
O: 0.240 0.510 0.052
O: 0.283 0.886 0.369
O: 0.340 0.434 0.571
O: 0.467 0.442 0.888
O: 0.535 0.112 0.268
O: 0.543 0.268 0.591
O: 0.556 0.119 0.954
O: 0.589 0.472 0.245
O: 0.589 0.797 0.861
O: 0.637 0.004 0.445
O: 0.727 0.629 0.574
O: 0.740 0.032 0.742
O: 0.837 0.679 0.886
O: 0.870 0.163 0.061
O: 0.871 0.848 0.433
O: 0.909 0.539 0.360
O: 0.927 0.405 0.738
O: 0.943 0.581 0.069
O: 0.989 0.210 0.422

## Properties
Total magnetic moment = 0.263 μB per atom
Volume = 463 Å³/cell
ΔE to the lowest computed polymorph = 2.5 meV/atom

Material: Mn5Te3O16
Method: DFT, GGA+U
State: optimized geometry

abc: 6.080 6.178 9.383
angles: 87.37 89.22 61.53
Sites, in units of the cell vectors:
Mn: 0.000 0.000 0.000
Mn: 0.013 0.478 0.797
Mn: 0.171 0.175 0.497
Mn: 0.499 0.003 0.004
Mn: 0.686 0.139 0.269
Te: 0.171 0.673 0.500
Te: 0.494 0.504 0.006
Te: 0.676 0.671 0.501
O: 0.026 0.975 0.390
O: 0.181 0.145 0.903
O: 0.184 0.662 0.898
O: 0.291 0.385 0.619
O: 0.353 0.810 0.110
O: 0.354 0.813 0.610
O: 0.372 0.313 0.128
O: 0.496 0.526 0.391
O: 0.526 0.979 0.392
O: 0.644 0.203 0.894
O: 0.667 0.664 0.903
O: 0.794 0.319 0.136
O: 0.803 0.887 0.113
O: 0.833 0.381 0.619
O: 0.856 0.804 0.619
O: 0.988 0.544 0.381

## Properties
Total magnetic moment = 0.875 μB per atom
Volume = 309 Å³/cell
DFT total energy = -6.4275 eV/atom

Material: ScCrO3
Method: DFT, GGA+U
State: optimized geometry

abc: 5.408 7.554 5.089
angles: 90.00 90.00 90.00
Sites, in units of the cell vectors:
Sc: 0.069 0.250 0.026
Sc: 0.431 0.750 0.526
Sc: 0.569 0.250 0.474
Sc: 0.931 0.750 0.974
Cr: 0.000 0.000 0.500
Cr: 0.000 0.500 0.500
Cr: 0.500 0.000 0.000
Cr: 0.500 0.500 0.000
O: 0.064 0.750 0.358
O: 0.191 0.573 0.814
O: 0.191 0.927 0.814
O: 0.309 0.073 0.314
O: 0.309 0.427 0.314
O: 0.436 0.250 0.858
O: 0.564 0.750 0.142
O: 0.691 0.573 0.686
O: 0.691 0.927 0.686
O: 0.809 0.073 0.186
O: 0.809 0.427 0.186
O: 0.936 0.250 0.642

## Properties
Total magnetic moment = 0.000 μB per atom
Volume = 208 Å³/cell
DFT total energy = -8.4847 eV/atom

Material: RbMnH4Cl3O2
Method: DFT, GGA+U
State: optimized geometry

abc: 6.635 7.316 8.987
angles: 91.26 107.60 112.10
Sites, in units of the cell vectors:
Rb: 0.237 0.057 0.319
Rb: 0.763 0.943 0.681
Mn: 0.500 0.335 0.832
Mn: 0.500 0.665 0.168
H: 0.088 0.704 0.979
H: 0.121 0.449 0.689
H: 0.254 0.476 0.565
H: 0.277 0.822 0.903
H: 0.723 0.178 0.097
H: 0.746 0.524 0.435
H: 0.879 0.551 0.311
H: 0.912 0.296 0.021
Cl: 0.250 0.579 0.343
Cl: 0.254 0.297 0.010
Cl: 0.281 0.974 0.697
Cl: 0.719 0.026 0.303
Cl: 0.746 0.703 0.990
Cl: 0.750 0.421 0.657
O: 0.251 0.432 0.668
O: 0.255 0.757 0.996
O: 0.745 0.243 0.004
O: 0.749 0.568 0.332

## Properties
Total magnetic moment = 0.455 μB per atom
Volume = 381 Å³/cell
DFT total energy = -4.6978 eV/atom